Compound: AcMnO3
Source: the Materials Project database
Functional: r²SCAN
Structure: optimized geometry

## Properties
SG ... Pm-3m, No. 221
Formation energy from the elements ... -3066 meV/atom
Total magnetic moment ... 4.00 Bohr magnetons per cell
ρ ... 8.80 g/cm³

abc: 3.963 3.963 3.963
angles: 90.00 90.00 90.00
Positions (direct):
1 Ac 0.000 0.000 0.000
2 Mn 0.500 0.500 0.500
3 O 0.500 0.500 0.000
4 O 0.500 0.000 0.500
5 O 0.000 0.500 0.500